Run a
PBE with a Hubbard U MgFeP2O7, optimized geometry; total magnetization = 0.0 μB per formula unit
1.0
5.576 -0.109 0.257
-1.437 12.182 1.437
0.084 -0.010 7.416
P O Fe Mg
8 28 4 4
direct
0.031 0.841 0.094
0.176 0.400 0.386
0.824 0.600 0.613
0.676 0.900 0.387
0.531 0.341 0.094
0.324 0.100 0.614
0.969 0.159 0.906
0.469 0.659 0.906
0.935 0.324 0.431
0.733 0.432 0.118
0.847 0.890 0.542
0.653 0.610 0.458
0.143 0.520 0.330
0.082 0.726 0.171
0.347 0.390 0.541
0.435 0.824 0.432
0.565 0.176 0.569
0.857 0.480 0.670
0.267 0.568 0.882
0.544 0.656 0.102
0.787 0.859 0.207
0.643 0.020 0.330
0.918 0.274 0.829
0.456 0.344 0.897
0.233 0.932 0.118
0.956 0.844 0.897
0.065 0.676 0.568
0.357 0.980 0.670
0.044 0.156 0.103
0.153 0.111 0.459
0.287 0.359 0.206
0.713 0.641 0.793
0.582 0.226 0.171
0.213 0.141 0.794
0.767 0.068 0.882
0.418 0.774 0.829
0.663 0.921 0.800
0.837 0.579 0.200
0.337 0.079 0.200
0.163 0.421 0.800
0.659 0.328 0.652
0.159 0.828 0.652
0.841 0.172 0.348
0.341 0.672 0.348

---

Run b
PBE with a Hubbard U MgFeP2O7, optimized geometry; SG = No. 1; total magnetization = 4.0 μB per formula unit
1.0
-0.080 3.651 -4.448
0.349 -3.259 -4.574
-4.767 -1.346 1.353
O P Mg Fe
7 2 1 1
direct
0.578 0.573 0.522
0.772 0.141 0.697
0.808 0.266 0.237
0.338 0.906 0.780
0.249 0.484 0.697
0.112 0.768 0.283
0.402 0.209 0.240
0.299 0.686 0.570
0.650 0.287 0.425
0.495 0.190 0.879
0.095 0.038 0.058

---

Run c
PBE with a Hubbard U MgFeP2O7, optimized geometry; SG = No. 2; total magnetization = 0.0 μB per formula unit
1.0
6.726 -0.162 0.914
1.083 11.264 -1.659
0.620 -0.206 7.092
P O Fe Mg
8 28 4 4
direct
0.365 0.179 0.485
0.181 0.616 0.373
0.818 0.885 0.127
0.182 0.115 0.873
0.365 0.679 0.985
0.635 0.821 0.515
0.635 0.321 0.015
0.819 0.384 0.627
0.753 0.800 0.284
0.961 0.474 0.699
0.370 0.547 0.400
0.748 0.410 0.125
0.252 0.090 0.374
0.078 0.201 0.063
0.672 0.694 0.560
0.252 0.590 0.874
0.414 0.857 0.528
0.629 0.953 0.100
0.328 0.305 0.440
0.673 0.194 0.060
0.414 0.356 0.027
0.753 0.300 0.783
0.586 0.143 0.472
0.039 0.526 0.301
0.923 0.298 0.437
0.327 0.806 0.940
0.246 0.700 0.216
0.922 0.799 0.937
0.247 0.200 0.716
0.748 0.910 0.626
0.077 0.702 0.563
0.960 0.974 0.199
0.586 0.644 0.973
0.040 0.026 0.801
0.371 0.047 0.900
0.630 0.453 0.600
0.308 0.456 0.651
0.693 0.044 0.850
0.307 0.956 0.150
0.692 0.544 0.349
0.836 0.654 0.769
0.836 0.154 0.269
0.164 0.846 0.731
0.164 0.346 0.231

---

Q: Which of them is the most stable? A: run a.

---

Run a
PBE with a Hubbard U Li2MnCo3O8, optimized geometry; SG = No. 2; total magnetization = 4.0 μB per formula unit
1.0
-1.633 -1.959 -5.108
3.494 -3.443 -3.081
-4.818 -2.322 2.560
O Co Li Mn
8 3 2 1
direct
0.720 0.539 0.804
0.249 0.531 0.787
0.276 0.960 0.201
0.280 0.461 0.196
0.724 0.040 0.799
0.751 0.469 0.213
0.756 0.991 0.215
0.244 0.009 0.785
0.500 0.000 0.000
0.000 0.500 0.000
0.500 0.500 0.000
0.500 0.500 0.500
0.500 0.000 0.500
0.000 0.000 0.000

---

Run b
PBE with a Hubbard U Li2MnCo3O8, optimized geometry; SG = No. 5; total magnetization = 4.0 μB per formula unit
1.0
5.745 5.738 0.000
-5.745 5.738 0.000
0.000 0.020 8.118
Mn O Co Li
4 32 12 8
direct
0.873 0.879 0.246
0.375 0.625 0.000
0.626 0.374 0.500
0.121 0.127 0.754
0.109 0.640 0.484
0.638 0.387 0.737
0.890 0.360 0.985
0.112 0.362 0.762
0.860 0.611 0.733
0.142 0.114 0.511
0.360 0.891 0.516
0.388 0.361 0.487
0.891 0.635 0.266
0.386 0.642 0.761
0.862 0.886 0.013
0.640 0.110 0.015
0.138 0.612 0.012
0.140 0.394 0.235
0.610 0.137 0.491
0.365 0.109 0.734
0.863 0.113 0.239
0.112 0.858 0.264
0.142 0.888 0.736
0.863 0.390 0.509
0.365 0.386 0.017
0.358 0.614 0.239
0.613 0.362 0.263
0.606 0.860 0.765
0.389 0.140 0.267
0.886 0.858 0.489
0.388 0.862 0.988
0.887 0.137 0.761
0.614 0.635 0.983
0.114 0.138 0.987
0.639 0.612 0.513
0.638 0.888 0.238
0.374 0.124 0.500
0.876 0.626 0.500
0.625 0.624 0.750
0.375 0.875 0.750
0.125 0.625 0.250
0.376 0.375 0.250
0.124 0.876 0.500
0.624 0.876 0.000
0.875 0.375 0.751
0.124 0.376 0.000
0.874 0.126 0.000
0.625 0.125 0.249
0.245 0.503 0.623
0.753 0.495 0.122
0.497 0.755 0.377
0.746 0.997 0.629
0.505 0.247 0.878
0.251 0.003 0.128
0.997 0.749 0.872
0.003 0.254 0.371

---

Q: Which of them is the most stable? A: run b.

---

Run a
PBE with a Hubbard U MgMnV4O12, optimized geometry; SG = No. 1; total magnetization = 5.0 μB per formula unit
1.0
-2.834 -4.221 1.737
0.163 -3.646 10.244
-4.092 -1.432 8.666
V Mn O Mg
4 1 12 1
direct
0.969 0.498 0.020
0.004 0.004 0.996
0.489 0.994 0.515
0.502 0.510 0.497
0.284 0.011 0.286
0.602 0.203 0.841
0.150 0.781 0.745
0.247 0.649 0.572
0.244 0.118 0.610
0.716 0.908 0.315
0.323 0.279 0.146
0.623 0.672 0.872
0.877 0.180 0.231
0.852 0.689 0.229
0.140 0.304 0.714
0.724 0.402 0.332
0.318 0.792 0.139
0.283 0.500 0.283

---

Run b
PBE with a Hubbard U MgMnV4O12, optimized geometry; SG = No. 1; total magnetization = 5.0 μB per formula unit
1.0
5.299 0.059 0.026
6.063 9.152 0.306
6.053 6.373 4.424
V O Mg Mn
4 12 1 1
direct
0.937 0.498 0.036
0.028 0.007 0.980
0.450 0.006 0.526
0.530 0.510 0.479
0.606 0.201 0.844
0.715 0.868 0.345
0.232 0.108 0.633
0.723 0.395 0.344
0.236 0.652 0.558
0.875 0.191 0.218
0.141 0.785 0.742
0.651 0.672 0.846
0.852 0.693 0.229
0.100 0.308 0.741
0.350 0.285 0.131
0.339 0.811 0.119
0.787 0.500 0.784
0.295 0.002 0.287

---

Run c
PBE with a Hubbard U MgMnV4O12, optimized geometry; SG = No. 1; total magnetization = 5.0 μB per formula unit
1.0
5.451 -0.066 0.033
6.025 8.740 0.051
6.088 5.927 4.255
O V Mg Mn
12 4 1 1
direct
0.732 0.396 0.340
0.251 0.111 0.613
0.617 0.667 0.876
0.701 0.915 0.316
0.138 0.308 0.718
0.317 0.285 0.150
0.316 0.806 0.130
0.595 0.214 0.832
0.837 0.693 0.226
0.231 0.654 0.579
0.137 0.768 0.770
0.891 0.177 0.230
0.524 0.982 0.497
0.487 0.509 0.501
0.047 0.017 0.956
0.943 0.496 0.020
0.187 0.486 0.206
0.296 0.015 0.278

---

Q: Which of them is the most stable? A: run b.

---

Run a
PBE with a Hubbard U Li4Cr3NiO8, optimized geometry; SG = No. 2; total magnetization = 1.0 μB per formula unit
1.0
-5.136 -1.521 2.516
5.143 -1.530 2.512
1.764 6.670 7.567
O Li Cr Ni
16 8 6 2
direct
0.359 0.754 0.374
0.881 0.740 0.371
0.846 0.744 0.880
0.119 0.260 0.629
0.613 0.258 0.126
0.379 0.239 0.369
0.641 0.246 0.626
0.855 0.255 0.380
0.621 0.761 0.631
0.888 0.245 0.869
0.378 0.272 0.881
0.622 0.728 0.119
0.112 0.755 0.131
0.387 0.742 0.874
0.144 0.745 0.620
0.154 0.256 0.120
0.500 0.000 0.000
0.000 0.000 0.500
0.500 0.500 0.500
0.744 0.994 0.255
0.251 0.503 0.249
0.749 0.497 0.751
0.000 0.500 0.000
0.256 0.005 0.745
0.255 0.502 0.751
0.249 0.997 0.251
0.752 0.004 0.749
0.746 0.498 0.249
0.500 0.500 0.000
0.000 0.500 0.500
0.500 0.000 0.500
0.000 0.000 0.000

---

Run b
PBE with a Hubbard U Li4Cr3NiO8, optimized geometry; SG = No. 2; total magnetization = 10.0 μB per formula unit
1.0
5.122 0.000 0.000
-0.857 7.755 0.000
-2.541 -0.848 7.338
Li O Ni Cr
8 16 2 6
direct
0.252 0.752 0.254
0.874 0.628 0.872
0.623 0.869 0.623
0.500 0.500 0.500
0.000 0.000 0.000
0.377 0.131 0.377
0.748 0.248 0.746
0.126 0.372 0.128
0.305 0.594 0.025
0.199 0.908 0.471
0.054 0.846 0.781
0.934 0.469 0.656
0.066 0.531 0.344
0.340 0.281 0.605
0.801 0.092 0.529
0.536 0.346 0.271
0.695 0.406 0.975
0.176 0.221 0.900
0.574 0.030 0.849
0.824 0.779 0.100
0.426 0.970 0.151
0.464 0.654 0.729
0.946 0.154 0.219
0.660 0.719 0.395
0.063 0.689 0.563
0.937 0.311 0.437
0.690 0.562 0.193
0.813 0.938 0.314
0.310 0.438 0.807
0.563 0.189 0.064
0.437 0.811 0.936
0.187 0.062 0.686

---

Q: Which of them is the most stable? A: run a.